No. 1
The following is a DFT calculation (GGA+U) of a geometry-optimized K9W20O60 structure.

Values from the calculation:
energy of formation from the pure elements = -2224 meV/atom
calculated volume = 1199 Å³/cell
total magnetic moment = 0.061 μB per atom

```
data_K9W20O60
_cell_length_a 13.026
_cell_length_b 13.026
_cell_length_c 13.026
_cell_angle_alpha 95.08
_cell_angle_beta 95.08
_cell_angle_gamma 145.39
_symmetry_space_group_name_H-M 'P 1'
_symmetry_Int_Tables_number 1
loop_
_symmetry_equiv_pos_as_xyz
'x,y,z'
loop_
_atom_site_label
_atom_site_fract_x
_atom_site_fract_y
_atom_site_fract_z
O1 0.250 0.750 0.000
O2 0.858 0.934 0.792
O3 0.076 0.578 0.154
O4 0.859 0.566 0.425
O5 0.143 0.287 0.931
O6 0.924 0.578 0.001
O7 0.250 0.250 0.500
O8 0.578 0.424 0.501
O9 0.922 0.924 0.345
O10 0.141 0.434 0.575
O11 0.857 0.287 0.644
O12 0.499 0.290 0.290
O13 0.423 0.078 0.001
O14 0.641 0.566 0.208
O15 0.000 0.791 0.290
O16 0.066 0.858 0.924
O17 0.078 0.924 0.501
O18 0.934 0.142 0.076
O19 0.357 0.213 0.069
O20 0.078 0.076 0.655
O21 0.566 0.359 0.925
O22 0.287 0.357 0.144
O23 0.434 0.641 0.075
O24 0.209 0.499 0.209
O25 0.359 0.066 0.425
O26 0.710 0.000 0.209
O27 0.643 0.213 0.356
O28 0.578 0.577 0.655
O29 0.787 0.857 0.144
O30 0.566 0.141 0.707
O31 0.934 0.359 0.293
O32 0.000 0.209 0.710
O33 0.422 0.576 0.499
O34 0.422 0.423 0.345
O35 0.713 0.643 0.856
O36 0.142 0.066 0.208
O37 0.290 0.000 0.791
O38 0.750 0.750 0.500
O39 0.143 0.713 0.356
O40 0.066 0.641 0.707
O41 0.791 0.501 0.791
O42 0.787 0.143 0.431
O43 0.750 0.250 0.000
O44 0.577 0.922 0.999
O45 0.424 0.922 0.846
O46 0.857 0.713 0.069
O47 0.357 0.787 0.644
O48 0.287 0.643 0.431
O49 0.076 0.422 0.999
O50 0.359 0.434 0.792
O51 0.643 0.787 0.931
O52 0.213 0.143 0.856
O53 0.213 0.857 0.569
O54 0.924 0.422 0.846
O55 0.576 0.078 0.154
O56 0.434 0.859 0.293
O57 0.501 0.710 0.710
O58 0.922 0.076 0.499
O59 0.713 0.357 0.569
O60 0.641 0.934 0.575
K1 0.751 0.424 0.174
K2 0.424 0.249 0.673
K3 0.500 0.500 0.000
K4 0.576 0.751 0.327
K5 0.749 0.077 0.826
K6 0.923 0.749 0.673
K7 0.249 0.576 0.826
K8 0.251 0.923 0.174
K9 0.077 0.251 0.327
W1 0.610 0.685 0.791
W2 0.819 0.610 0.924
W3 0.000 0.000 0.500
W4 0.500 0.500 0.500
W5 0.183 0.610 0.293
W6 0.106 0.181 0.791
W7 0.817 0.390 0.707
W8 0.894 0.819 0.209
W9 0.500 0.000 0.000
W10 0.610 0.317 0.427
W11 0.317 0.890 0.707
W12 0.685 0.894 0.076
W13 0.890 0.183 0.573
W14 0.683 0.110 0.293
W15 0.110 0.817 0.427
W16 0.315 0.106 0.924
W17 0.181 0.390 0.076
W18 0.390 0.315 0.209
W19 0.390 0.683 0.573
W20 0.000 0.500 0.000
```

---

No. 2
The following is a DFT calculation (GGA+U) of a geometry-optimized CaCrGe2O6 structure.

Values from the calculation:
energy of formation from the pure elements = -2401 meV/atom
calculated volume = 519 Å³/cell
total magnetic moment = 0.000 μB per atom

```
data_CaCrGe2O6
_cell_length_a 5.488
_cell_length_b 10.374
_cell_length_c 9.408
_cell_angle_alpha 90.01
_cell_angle_beta 90.01
_cell_angle_gamma 104.52
_symmetry_space_group_name_H-M 'P 1'
_symmetry_Int_Tables_number 1
loop_
_symmetry_equiv_pos_as_xyz
'x,y,z'
loop_
_atom_site_label
_atom_site_fract_x
_atom_site_fract_y
_atom_site_fract_z
Ge1 0.936 0.215 0.403
Ge2 0.564 0.785 0.403
Ge3 0.436 0.715 0.903
Ge4 0.436 0.215 0.597
Ge5 0.936 0.715 0.097
Ge6 0.064 0.785 0.597
Ge7 0.064 0.285 0.903
Ge8 0.564 0.285 0.097
Cr1 0.750 0.500 0.407
Cr2 0.750 0.000 0.093
Cr3 0.250 0.000 0.907
Cr4 0.250 0.500 0.593
O1 0.119 0.644 0.968
O2 0.481 0.110 0.096
O3 0.518 0.865 0.247
O4 0.519 0.890 0.904
O5 0.482 0.635 0.747
O6 0.018 0.865 0.753
O7 0.019 0.390 0.404
O8 0.019 0.890 0.096
O9 0.119 0.144 0.532
O10 0.981 0.110 0.904
O11 0.982 0.635 0.253
O12 0.481 0.610 0.404
O13 0.619 0.644 0.032
O14 0.018 0.365 0.747
O15 0.981 0.610 0.596
O16 0.519 0.390 0.596
O17 0.518 0.365 0.253
O18 0.881 0.856 0.468
O19 0.881 0.356 0.032
O20 0.482 0.135 0.753
O21 0.381 0.356 0.968
O22 0.619 0.144 0.468
O23 0.982 0.135 0.247
O24 0.381 0.856 0.532
Ca1 0.250 0.500 0.197
Ca2 0.750 0.000 0.697
Ca3 0.250 0.000 0.303
Ca4 0.750 0.500 0.803
```

---

No. 3
The following is a DFT calculation (GGA+U) of a geometry-optimized K2MgCo2O4 structure.

Values from the calculation:
energy of formation from the pure elements = -1622 meV/atom
calculated volume = 135 Å³/cell
total magnetic moment = 0.667 μB per atom

```
data_K2MgCo2O4
_cell_length_a 5.820
_cell_length_b 5.821
_cell_length_c 8.640
_cell_angle_alpha 59.22
_cell_angle_beta 120.78
_cell_angle_gamma 147.03
_symmetry_space_group_name_H-M 'P 1'
_symmetry_Int_Tables_number 1
loop_
_symmetry_equiv_pos_as_xyz
'x,y,z'
loop_
_atom_site_label
_atom_site_fract_x
_atom_site_fract_y
_atom_site_fract_z
Co1 0.049 0.952 0.191
Co2 0.987 0.015 0.841
K1 0.841 0.161 0.396
K2 0.174 0.826 0.632
Mg1 0.322 0.679 0.053
O1 0.848 0.153 0.945
O2 0.168 0.833 0.094
O3 0.521 0.481 0.300
O4 0.445 0.557 0.691
```

---

No. 4
The following is a DFT calculation (GGA+U) of a geometry-optimized Na3V5O10 structure.

Values from the calculation:
energy of formation from the pure elements = -2403 meV/atom
calculated volume = 439 Å³/cell
total magnetic moment = 0.388 μB per atom

```
data_Na3V5O10
_cell_length_a 7.287
_cell_length_b 8.344
_cell_length_c 8.078
_cell_angle_alpha 68.90
_cell_angle_beta 104.76
_cell_angle_gamma 88.05
_symmetry_space_group_name_H-M 'P 1'
_symmetry_Int_Tables_number 1
loop_
_symmetry_equiv_pos_as_xyz
'x,y,z'
loop_
_atom_site_label
_atom_site_fract_x
_atom_site_fract_y
_atom_site_fract_z
O1 0.849 0.959 0.764
O2 0.749 0.437 0.434
O3 0.567 0.247 0.675
O4 0.432 0.750 0.326
O5 0.056 0.752 0.172
O6 0.833 0.353 0.125
O7 0.651 0.163 0.366
O8 0.033 0.155 0.520
O9 0.644 0.538 0.738
O10 0.551 0.641 0.036
O11 0.248 0.561 0.560
O12 0.968 0.850 0.474
O13 0.756 0.062 0.062
O14 0.344 0.847 0.628
O15 0.367 0.445 0.280
O16 0.471 0.346 0.982
O17 0.152 0.038 0.240
O18 0.928 0.254 0.818
O19 0.242 0.950 0.928
O20 0.158 0.650 0.872
V1 0.392 0.595 0.802
V2 0.200 0.800 0.400
V3 0.297 0.697 0.102
V4 0.008 0.005 0.998
V5 0.801 0.194 0.603
V6 0.898 0.096 0.302
V7 0.599 0.406 0.197
V8 0.103 0.903 0.698
V9 0.502 0.504 0.498
V10 0.700 0.300 0.900
Na1 0.546 0.948 0.854
Na2 0.854 0.652 0.945
Na3 0.450 0.048 0.152
Na4 0.352 0.148 0.448
Na5 0.950 0.551 0.648
Na6 0.047 0.452 0.351
```

---

No. 5
The following is a DFT calculation (GGA+U) of a geometry-optimized CaMnO2 structure.

Values from the calculation:
energy of formation from the pure elements = -2616 meV/atom
calculated volume = 204 Å³/cell
total magnetic moment = 1.250 μB per atom

```
data_CaMnO2
_cell_length_a 3.323
_cell_length_b 8.051
_cell_length_c 8.099
_cell_angle_alpha 70.39
_cell_angle_beta 90.00
_cell_angle_gamma 90.00
_symmetry_space_group_name_H-M 'P 1'
_symmetry_Int_Tables_number 1
loop_
_symmetry_equiv_pos_as_xyz
'x,y,z'
loop_
_atom_site_label
_atom_site_fract_x
_atom_site_fract_y
_atom_site_fract_z
O1 0.750 0.825 0.063
O2 0.750 0.054 0.320
O3 0.750 0.567 0.808
O4 0.250 0.946 0.680
O5 0.250 0.175 0.937
O6 0.250 0.698 0.438
O7 0.750 0.302 0.562
O8 0.250 0.433 0.192
Mn1 0.250 0.182 0.442
Mn2 0.750 0.818 0.558
Mn3 0.750 0.063 0.811
Mn4 0.250 0.937 0.189
Ca1 0.750 0.302 0.069
Ca2 0.250 0.698 0.931
Ca3 0.250 0.435 0.687
Ca4 0.750 0.565 0.313
```

---

No. 6
The following is a DFT calculation (GGA+U) of a geometry-optimized MgCu2W2O8 structure.

Values from the calculation:
energy of formation from the pure elements = -1898 meV/atom
calculated volume = 170 Å³/cell
total magnetic moment = 0.000 μB per atom

```
data_MgCu2W2O8
_cell_length_a 5.106
_cell_length_b 4.916
_cell_length_c 6.949
_cell_angle_alpha 90.01
_cell_angle_beta 89.99
_cell_angle_gamma 102.52
_symmetry_space_group_name_H-M 'P 1'
_symmetry_Int_Tables_number 1
loop_
_symmetry_equiv_pos_as_xyz
'x,y,z'
loop_
_atom_site_label
_atom_site_fract_x
_atom_site_fract_y
_atom_site_fract_z
O1 0.751 0.028 0.285
O2 0.779 0.007 0.897
O3 0.221 0.493 0.897
O4 0.249 0.473 0.285
O5 0.242 0.930 0.639
O6 0.214 0.984 0.053
O7 0.758 0.570 0.639
O8 0.786 0.517 0.053
Cu1 0.500 0.250 0.647
Cu2 0.500 0.750 0.488
W1 0.000 0.250 0.128
W2 0.000 0.750 0.821
Mg1 0.500 0.750 0.088
```

---

No. 7
The following is a DFT calculation (GGA+U) of a geometry-optimized MoH4O5 structure.

Values from the calculation:
energy of formation from the pure elements = -1398 meV/atom
calculated volume = 222 Å³/cell
total magnetic moment = 0.000 μB per atom

```
data_MoH4O5
_cell_length_a 4.285
_cell_length_b 6.484
_cell_length_c 8.097
_cell_angle_alpha 89.73
_cell_angle_beta 89.61
_cell_angle_gamma 80.68
_symmetry_space_group_name_H-M 'P 1'
_symmetry_Int_Tables_number 1
loop_
_symmetry_equiv_pos_as_xyz
'x,y,z'
loop_
_atom_site_label
_atom_site_fract_x
_atom_site_fract_y
_atom_site_fract_z
O1 0.978 0.028 0.507
O2 0.446 0.531 0.023
O3 0.561 0.469 0.522
O4 0.476 0.046 0.283
O5 0.931 0.275 0.223
O6 0.072 0.724 0.724
O7 0.944 0.278 0.760
O8 0.521 0.955 0.790
O9 0.056 0.721 0.263
O10 0.011 0.969 0.008
H1 0.357 0.443 0.944
H2 0.655 0.558 0.445
H3 0.569 0.807 0.824
H4 0.630 0.442 0.071
H5 0.423 0.197 0.303
H6 0.833 0.359 0.664
H7 0.166 0.641 0.168
H8 0.378 0.560 0.571
Mo1 0.051 0.983 0.793
Mo2 0.944 0.016 0.292
```

---

No. 8
The following is a DFT calculation (GGA+U) of a geometry-optimized Sr2FeBiO6 structure.

Values from the calculation:
energy of formation from the pure elements = -2213 meV/atom
calculated volume = 139 Å³/cell
total magnetic moment = 0.500 μB per atom

```
data_Sr2FeBiO6
_cell_length_a 5.810
_cell_length_b 5.810
_cell_length_c 5.810
_cell_angle_alpha 60.00
_cell_angle_beta 60.00
_cell_angle_gamma 60.00
_symmetry_space_group_name_H-M 'P 1'
_symmetry_Int_Tables_number 1
loop_
_symmetry_equiv_pos_as_xyz
'x,y,z'
loop_
_atom_site_label
_atom_site_fract_x
_atom_site_fract_y
_atom_site_fract_z
Sr1 0.750 0.750 0.750
Sr2 0.250 0.250 0.250
O1 0.744 0.256 0.256
O2 0.256 0.256 0.744
O3 0.744 0.744 0.256
O4 0.256 0.744 0.256
O5 0.744 0.256 0.744
O6 0.256 0.744 0.744
Bi1 0.000 0.000 0.000
Fe1 0.500 0.500 0.500
```